Compound: FeHO2
Source: the Materials Project
Functional: PBE+U
Structure: optimized geometry

## Properties
Maximum piezoelectric response ... 0.9 C/m²

Geometry as POSCAR:
```
FeHO2
1.0
3.9250 -0.0001 3.0961
-0.0048 6.2802 1.5540
-3.9429 0.0003 3.1191
H O Fe
4 8 4
Cartesian
-0.2536 6.0427 4.6631
3.6804 6.0425 4.6516
-2.2162 0.2381 3.1148
1.7177 0.2379 3.1033
-0.9971 2.6410 4.6646
-1.0106 5.3754 4.6640
-0.9882 2.6409 1.5570
0.9744 3.6392 3.1048
2.9234 5.3752 4.6525
-2.9735 0.9050 3.1158
0.9604 0.9048 3.1043
0.9655 3.6394 6.2124
0.9699 2.2265 4.6583
0.9789 2.2264 1.5507
-1.0015 4.0541 6.2180
-0.9925 4.0540 3.1104
```

***

Compound: Fe8H10O17
Source: the Materials Project
Functional: PBE+U
Structure: optimized geometry

## Properties
Space group ... P1
Crystal system ... triclinic
Polymorph energy (0 for the lowest one) ... 13 meV per atom

Geometry as POSCAR:
```
Fe8H10O17
1.0
1.2250 2.1001 5.6451
6.8114 -7.4202 0.9010
7.2265 7.1993 -4.2332
O H Fe
34 20 16
Cartesian
2.6934 1.8638 3.7403
5.2728 -1.9891 4.3900
2.1732 0.8342 0.9070
6.5588 2.0163 -2.2482
8.9396 -4.6852 -0.4509
4.5660 -2.9094 1.5510
4.9431 4.7846 0.5815
7.6642 5.7718 1.0905
9.9529 -0.7517 2.9544
9.4515 3.1144 -1.6671
9.5319 5.9241 -1.0033
11.3084 1.4373 -3.1466
4.3993 0.0448 2.2986
5.0366 2.9139 2.8939
12.0589 0.5512 2.0511
11.5730 -0.4247 -0.7189
4.5696 1.8949 0.0359
11.9219 2.5057 -0.3206
4.3689 3.6899 -2.2733
14.5334 1.2640 2.2110
7.3108 7.6555 -1.2423
9.9808 4.1865 1.2121
9.3860 -1.8176 0.0943
4.0208 -0.7540 -0.3001
7.9667 -0.9653 5.0578
7.4387 -3.5238 4.5032
7.1824 3.1183 0.6407
6.7554 -4.4849 1.6575
10.0361 7.1045 1.7172
7.0712 4.5135 -1.6574
9.2916 0.0601 -2.1308
9.5641 -3.6416 2.3511
7.3757 -1.9889 2.2908
9.7940 1.1835 0.6232
6.8492 6.2991 0.9387
7.1879 -6.4381 3.1145
4.0443 4.3576 0.9200
5.2978 -1.1490 3.8922
5.0747 1.0620 0.1446
8.8641 1.4683 0.7496
3.5017 3.2696 -1.9032
10.2215 3.6549 -2.0004
3.9385 -0.2360 3.1222
7.1880 -1.0657 2.0421
5.0890 0.7341 4.6034
4.8318 -2.0678 1.1140
7.9873 3.1893 3.6083
12.5885 -0.2547 -0.5985
8.3883 0.0041 -1.7824
13.5380 1.0218 2.1714
6.7894 6.6107 -3.4015
10.7272 4.7115 0.8059
7.7684 -0.0703 4.7297
7.8285 -4.3901 4.7755
7.9593 3.5225 -3.0847
5.9285 -3.4245 3.0698
11.2859 2.3783 1.5280
6.2178 4.1229 2.0687
8.4916 4.3993 -0.2859
2.8343 0.9055 -0.9698
8.8425 7.5154 0.0121
10.6947 1.3705 -1.2970
5.7690 3.3947 -0.7556
8.9484 -2.2739 3.6702
2.7392 -0.9591 1.3181
3.5231 1.9394 1.9418
5.3233 -4.4377 0.3272
10.1758 -1.8845 -1.7198
8.2700 -3.3464 0.8762
10.6814 -0.7330 1.1373
```

***

Compound: FeHO2
Source: the Materials Project
Functional: PBE+U
Structure: optimized geometry

## Properties
Space group ... P2_12_12_1
Crystal system ... orthorhombic

Geometry as POSCAR:
```
FeHO2
1.0
-2.6770 0.0452 -1.5085
0.8943 -4.2309 -1.7138
-4.5720 -4.2021 7.9880
Fe O H
4 8 4
Cartesian
-3.4262 -2.3399 1.3588
-0.7171 -3.5940 -0.4440
-3.3381 -3.9331 4.2851
-5.2280 -6.9086 4.3318
-2.5082 -2.7236 -0.3676
-4.5315 -6.2818 6.2246
-1.4309 -4.2206 -2.3466
-1.1885 -5.3233 0.4264
-4.6834 -5.1805 3.5026
-2.2765 -3.7754 2.4260
-4.3294 -3.5482 5.9701
-4.4705 -2.4978 3.2276
-2.2977 -0.9826 -0.7604
-3.8742 -5.9844 2.1139
-4.6009 -5.2881 6.3285
-1.9366 -4.5205 1.8496
```

***

Record-wise V values, in Å³/f.u.: 38, 342, 36
Record-wise E_tot values, in eV per cell: -97.20, -410.56, -91.01
Record-wise calculated formation energy values, in eV per atom: -1.543, -1.406, -1.156